A relaxed HoMgS3 crystal. Source: the Materials Project database, functional GGA-PBE.

a b c (Å): 6.6497 6.6497 18.0002
angles (deg): 90.00 90.00 120.00
Sites, in units of the cell vectors:
Mg  0.6667  0.3333  0.1775
S  0.9655  0.6512  0.0840
Mg  0.0000  0.0000  0.8442
S  0.6857  0.0345  0.0840
S  0.0191  0.7012  0.7507
Mg  0.0000  0.0000  0.1558
S  0.9846  0.3524  0.5827
Ho  0.3333  0.6667  0.0161
S  0.3488  0.3143  0.0840
S  0.0345  0.3488  0.9160
S  0.6476  0.6321  0.5827
S  0.9809  0.2988  0.2493
S  0.3143  0.9655  0.9160
Ho  0.6667  0.3333  0.9839
S  0.3679  0.0154  0.5827
S  0.3524  0.3679  0.4173
Mg  0.3333  0.6667  0.5108
S  0.7012  0.6821  0.2493
Ho  0.6667  0.3333  0.6827
Mg  0.6667  0.3333  0.4892
Ho  0.0000  0.0000  0.6506
Ho  0.3333  0.6667  0.3173
S  0.6512  0.6857  0.9160
S  0.6321  0.9846  0.4173
S  0.6821  0.9809  0.7507
Ho  0.0000  0.0000  0.3494
Mg  0.3333  0.6667  0.8225
S  0.0154  0.6476  0.4173
S  0.3179  0.0191  0.2493
S  0.2988  0.3179  0.7507

Calculated values
ΔE_f: -1.639 eV/atom
M_tot: 0.71 μB/f.u.
calculated density: 4.13 Mg/m³
distance to the lowest polymorph of the same formula: 0 meV per atom

A relaxed NbN3O8 crystal. Source: the Materials Project database, functional GGA-PBE.

a b c (Å): 6.3761 6.3761 6.3761
angles (deg): 114.20 114.20 100.37
Sites, in units of the cell vectors:
O  0.7788  0.2013  0.0000
N  0.5000  0.5000  0.0000
O  0.9931  0.6720  0.0000
O  0.2013  0.7788  0.0000
O  0.7987  0.7987  0.5775
O  0.0069  0.0069  0.6789
O  0.3280  0.3280  0.3211
O  0.6720  0.9931  0.0000
Nb  0.0000  0.0000  0.0000
N  0.2500  0.7500  0.5000
N  0.7500  0.2500  0.5000
O  0.2212  0.2212  0.4225

Calculated values
ΔE_f: 0.758 eV/atom
M_tot: 6.00 μB/f.u.
calculated density: 2.23 Mg/m³

A relaxed HgH12C2Br4N6 crystal. Source: the Materials Project database, functional GGA-PBE.

a b c (Å): 7.6804 7.6804 13.5349
angles (deg): 77.42 77.42 94.94
Sites, in units of the cell vectors:
N  0.4221  0.6716  0.4197
N  0.7194  0.1307  0.9114
N  0.2806  0.8693  0.0886
C  0.6216  0.2658  0.8983
H  0.5554  0.2070  0.5631
C  0.2658  0.6216  0.3983
H  0.3922  0.3400  0.8527
H  0.3400  0.3922  0.3527
H  0.0167  0.6886  0.3881
N  0.5779  0.3284  0.5803
N  0.3284  0.5779  0.0803
N  0.2413  0.4702  0.3660
N  0.4702  0.2413  0.8660
H  0.4352  0.1226  0.8490
H  0.4446  0.7930  0.4369
N  0.1307  0.7194  0.4114
H  0.3857  0.4663  0.1051
H  0.8552  0.1664  0.5627
C  0.3784  0.7342  0.1017
Br  0.2225  0.0082  0.5698
H  0.5337  0.6143  0.3949
H  0.9833  0.3114  0.6119
Hg  0.2121  0.7879  0.7500
H  0.1448  0.8336  0.4373
Br  0.5531  0.8248  0.7807
H  0.8336  0.1448  0.9373
H  0.6600  0.6078  0.6473
Br  0.9918  0.7775  0.9302
N  0.6716  0.4221  0.9197
N  0.7587  0.5298  0.6340
H  0.7930  0.4446  0.9369
Br  0.7775  0.9918  0.4302
H  0.1664  0.8552  0.0627
H  0.5648  0.8774  0.1510
H  0.6078  0.6600  0.1473
H  0.8774  0.5648  0.6510
N  0.8693  0.2806  0.5886
C  0.7342  0.3784  0.6017
H  0.6143  0.5337  0.8949
H  0.4663  0.3857  0.6051
Br  0.1752  0.4469  0.7193
H  0.1226  0.4352  0.3490
Hg  0.7879  0.2121  0.2500
H  0.6886  0.0167  0.8881
Br  0.8248  0.5531  0.2807
Br  0.0082  0.2225  0.0698
H  0.2070  0.5554  0.0631
Br  0.4469  0.1752  0.2193
N  0.5298  0.7587  0.1340
H  0.3114  0.9833  0.1119

Calculated values
ΔE_f: -0.485 eV/atom
M_tot: 0.00 μB/f.u.
calculated density: 2.82 Mg/m³

A relaxed Mg14AlCd crystal. Source: the Materials Project database, functional GGA-PBE.

a b c (Å): 6.2803 6.2803 10.3966
angles (deg): 90.00 90.00 120.00
Sites, in units of the cell vectors:
Mg  0.6668  0.8332  0.1250
Al  0.1667  0.3333  0.1250
Mg  0.8355  0.1677  0.8757
Mg  0.1662  0.8331  0.6250
Mg  0.3323  0.6645  0.8757
Mg  0.3323  0.1677  0.8757
Mg  0.8355  0.1677  0.3743
Cd  0.1667  0.3333  0.6250
Mg  0.3323  0.6645  0.3743
Mg  0.1664  0.8332  0.1250
Mg  0.6669  0.3338  0.6250
Mg  0.8333  0.6667  0.8748
Mg  0.6669  0.8331  0.6250
Mg  0.8333  0.6667  0.3752
Mg  0.6668  0.3336  0.1250
Mg  0.3323  0.1677  0.3743

Calculated values
ΔE_f: -0.015 eV/atom
M_tot: 0.00 μB/f.u.
calculated density: 2.24 Mg/m³
distance to the lowest polymorph of the same formula: 0 meV per atom

A relaxed DyMn2 crystal. Source: the Materials Project database, functional GGA-PBE.

a b c (Å): 5.1061 5.1061 5.1061
angles (deg): 60.00 60.00 60.00
Sites, in units of the cell vectors:
Mn  0.6250  0.6250  0.1250
Mn  0.6250  0.1250  0.6250
Dy  0.0000  0.0000  0.0000
Dy  0.2500  0.2500  0.2500
Mn  0.6250  0.6250  0.6250
Mn  0.1250  0.6250  0.6250

Calculated values
ΔE_f: 0.141 eV/atom
M_tot: 2.25 μB/f.u.
calculated density: 9.61 Mg/m³

A relaxed Be2PdRh crystal. Source: the Materials Project database, functional GGA-PBE.

a b c (Å): 3.9685 3.9685 3.9685
angles (deg): 60.00 60.00 60.00
Sites, in units of the cell vectors:
Be  0.7500  0.7500  0.7500
Pd  0.5000  0.5000  0.5000
Be  0.2500  0.2500  0.2500
Rh  0.0000  0.0000  0.0000

Calculated values
ΔE_f: -0.651 eV/atom
calculated density: 8.54 Mg/m³

A relaxed Te2Mo2WSe2S2 crystal. Source: the Materials Project database, functional GGA-PBE.

a b c (Å): 3.3497 3.3497 31.0380
angles (deg): 90.00 90.00 120.00
Sites, in units of the cell vectors:
S  0.6667  0.3333  0.1645
S  0.6667  0.3333  0.0668
Mo  0.3333  0.6667  0.1157
W  0.6667  0.3333  0.3469
Te  0.6667  0.3333  0.5173
Te  0.6667  0.3333  0.6395
Se  0.3333  0.6667  0.2930
Mo  0.3333  0.6667  0.5784
Se  0.3333  0.6667  0.4008

Calculated values
ΔE_f: -0.625 eV/atom
M_tot: 0.00 μB/f.u.
calculated density: 4.70 Mg/m³
distance to the lowest polymorph of the same formula: 21 meV per atom

A relaxed Pr3Ni3Bi4 crystal. Source: the Materials Project database, functional GGA-PBE.

a b c (Å): 8.5814 8.5814 8.5814
angles (deg): 109.47 109.47 109.47
Sites, in units of the cell vectors:
Ni  0.1250  0.7500  0.8750
Pr  0.7500  0.3750  0.6250
Bi  0.1564  0.5000  0.0000
Bi  0.8436  0.8436  0.8436
Ni  0.6250  0.3750  0.2500
Bi  0.0000  0.6564  0.5000
Pr  0.1250  0.8750  0.2500
Ni  0.2500  0.6250  0.3750
Ni  0.3750  0.2500  0.6250
Ni  0.8750  0.1250  0.7500
Ni  0.7500  0.8750  0.1250
Bi  0.5000  0.0000  0.6564
Bi  0.5000  0.0000  0.1564
Pr  0.8750  0.2500  0.1250
Pr  0.2500  0.1250  0.8750
Bi  0.6564  0.5000  0.0000
Bi  0.0000  0.1564  0.5000
Bi  0.3436  0.3436  0.3436
Pr  0.6250  0.7500  0.3750
Pr  0.3750  0.6250  0.7500

Calculated values
ΔE_f: -0.582 eV/atom
calculated density: 9.79 Mg/m³

A relaxed Ba4NaRu3O12 crystal. Source: the Materials Project database, functional GGA-PBE.

a b c (Å): 5.8771 5.8771 19.4497
angles (deg): 90.00 90.00 120.00
Sites, in units of the cell vectors:
O  0.8478  0.6955  0.3643
Ba  0.3333  0.6667  0.9972
O  0.8436  0.1564  0.9884
Na  0.6667  0.3333  0.0597
O  0.1564  0.3128  0.4884
O  0.6872  0.8436  0.4884
O  0.3128  0.1564  0.9884
Ba  0.6667  0.3333  0.4972
O  0.1654  0.8346  0.2445
O  0.8436  0.6872  0.9884
O  0.3045  0.1522  0.3643
O  0.0270  0.5135  0.1284
O  0.1654  0.3308  0.2445
Ru  0.0000  0.0000  0.2990
Ru  0.0000  0.0000  0.7990
O  0.9730  0.4865  0.6284
O  0.8478  0.1522  0.3643
O  0.5135  0.4865  0.6284
O  0.3308  0.1654  0.7445
Ba  0.6667  0.3333  0.8726
Ru  0.3333  0.6667  0.1833
Ba  0.6667  0.3333  0.2458
Ba  0.3333  0.6667  0.3726
Ba  0.0000  0.0000  0.1173
O  0.8346  0.6692  0.7445
Ru  0.0000  0.0000  0.9359
O  0.8346  0.1654  0.7445
Ba  0.0000  0.0000  0.6173
O  0.4865  0.9730  0.1284
O  0.1522  0.8478  0.8643
Ru  0.6667  0.3333  0.6833
O  0.1564  0.8436  0.4884
Ru  0.0000  0.0000  0.4359
Na  0.3333  0.6667  0.5597
O  0.5135  0.0270  0.6284
O  0.4865  0.5135  0.1284
O  0.6955  0.8478  0.8643
Ba  0.3333  0.6667  0.7458
O  0.6692  0.8346  0.2445
O  0.1522  0.3045  0.8643

Calculated values
ΔE_f: -2.262 eV/atom
M_tot: 3.00 μB/f.u.
calculated density: 6.09 Mg/m³

A relaxed PSe crystal. Source: the Materials Project database, functional GGA-PBE.

a b c (Å): 7.4394 12.3593 12.7792
angles (deg): 64.01 90.00 90.00
Sites, in units of the cell vectors:
Se  0.5857  0.1841  0.3006
P  0.3688  0.3175  0.3006
P  0.8688  0.6825  0.1994
P  0.0095  0.7612  0.8315
P  0.8052  0.8237  0.5718
Se  0.9143  0.1841  0.8006
Se  0.4143  0.8159  0.6994
P  0.1948  0.1763  0.4282
Se  0.9568  0.2977  0.4164
Se  0.0993  0.0763  0.3252
Se  0.0857  0.8159  0.1994
Se  0.5993  0.9237  0.1748
Se  0.2151  0.3786  0.1273
P  0.1884  0.6733  0.7538
Se  0.9007  0.9237  0.6748
Se  0.5432  0.2977  0.9164
Se  0.0432  0.7023  0.5836
Se  0.2849  0.3786  0.6273
P  0.6312  0.6825  0.6994
Se  0.4007  0.0763  0.8252
Se  0.7849  0.6214  0.8727
P  0.4905  0.7612  0.3315
Se  0.4568  0.7023  0.0836
P  0.3052  0.1763  0.9282
P  0.6884  0.3267  0.7462
Se  0.7151  0.6214  0.3727
P  0.6948  0.8237  0.0718
P  0.3116  0.6733  0.2538
P  0.5095  0.2388  0.6685
P  0.1312  0.3175  0.8006
P  0.8116  0.3267  0.2462
P  0.9905  0.2388  0.1685

Calculated values
ΔE_f: -0.313 eV/atom
calculated density: 2.77 Mg/m³

A relaxed ZrCl4 crystal. Source: the Materials Project database, functional GGA-PBE.

a b c (Å): 6.3797 6.7211 7.7605
angles (deg): 90.00 90.00 108.82
Sites, in units of the cell vectors:
Cl  0.5006  0.7844  0.1029
Cl  0.9709  0.2465  0.6456
Cl  0.4994  0.2156  0.8971
Zr  0.2500  0.0000  0.1609
Cl  0.0291  0.7535  0.3544
Cl  0.9994  0.2156  0.1029
Cl  0.5291  0.7535  0.6456
Cl  0.0006  0.7844  0.8971
Cl  0.4709  0.2465  0.3544
Zr  0.7500  0.0000  0.8391

Calculated values
ΔE_f: -2.268 eV/atom
calculated density: 2.46 Mg/m³

A relaxed TbAl6Fe6 crystal. Source: the Materials Project database, functional GGA-PBE.

a b c (Å): 6.5574 6.5574 6.5574
angles (deg): 135.23 98.99 97.70
Sites, in units of the cell vectors:
Al  0.1938  0.6938  0.5000
Al  0.3461  0.3461  0.0000
Fe  0.0000  0.0000  0.5000
Al  0.3368  0.0000  0.3368
Tb  0.0000  0.0000  0.0000
Al  0.8062  0.3062  0.5000
Al  0.6632  0.0000  0.6632
Fe  0.5000  0.5000  0.5000
Fe  0.2404  0.5000  0.7404
Al  0.6539  0.6539  0.0000
Fe  0.7596  0.5000  0.2596
Fe  0.5000  0.0000  0.0000
Fe  0.0000  0.5000  0.0000

Calculated values
ΔE_f: -0.384 eV/atom
calculated density: 5.93 Mg/m³

A relaxed KAl11O17 crystal. Source: the Materials Project database, functional GGA-PBE.

a b c (Å): 5.6493 5.6493 22.9091
angles (deg): 90.00 90.00 119.93
Sites, in units of the cell vectors:
O  0.8340  0.1660  0.9448
O  0.0020  0.9980  0.3542
O  0.6570  0.3430  0.0494
K  0.8155  0.1845  0.7500
Al  0.3317  0.1652  0.3936
Al  0.3326  0.6674  0.3943
Al  0.3317  0.1652  0.1064
O  0.6572  0.8142  0.4504
O  0.4998  0.5002  0.1409
O  0.0031  0.5052  0.1447
Al  0.5000  0.5000  0.0000
O  0.8340  0.1660  0.5552
Al  0.1667  0.8333  0.9752
O  0.3430  0.6570  0.5494
Al  0.8333  0.1667  0.4752
Al  0.1667  0.8333  0.5248
Al  0.6683  0.8348  0.8936
O  0.3430  0.6570  0.9506
O  0.5052  0.0031  0.8553
O  0.9980  0.0020  0.6458
Al  0.8319  0.1681  0.3247
O  0.1660  0.8340  0.4448
O  0.5002  0.4998  0.6409
O  0.1785  0.8215  0.7500
O  0.8142  0.6572  0.5496
O  0.0031  0.5052  0.3553
O  0.1858  0.3428  0.0496
O  0.4948  0.9969  0.1447
O  0.8215  0.1785  0.2500
Al  0.8333  0.1667  0.0248
Al  0.8348  0.6683  0.1064
Al  0.6674  0.3326  0.6057
O  0.5052  0.0031  0.6447
O  0.0020  0.9980  0.1458
O  0.5002  0.4998  0.8591
O  0.9969  0.4948  0.6447
Al  0.5000  0.5000  0.5000
O  0.8142  0.6572  0.9504
Al  0.8319  0.1681  0.1753
O  0.3428  0.1858  0.5496
O  0.6572  0.8142  0.0496
Al  0.1652  0.3317  0.6064
O  0.9980  0.0020  0.8542
O  0.4998  0.5002  0.3591
Al  0.1681  0.8319  0.6753
O  0.1858  0.3428  0.4504
Al  0.8348  0.6683  0.3936
Al  0.6683  0.8348  0.6064
O  0.9969  0.4948  0.8553
Al  0.1652  0.3317  0.8936
Al  0.6674  0.3326  0.8943
K  0.1845  0.8155  0.2500
O  0.6570  0.3430  0.4506
O  0.4948  0.9969  0.3553
Al  0.1681  0.8319  0.8247
O  0.3428  0.1858  0.9504
O  0.1660  0.8340  0.0552
Al  0.3326  0.6674  0.1057

Calculated values
ΔE_f: -3.380 eV/atom
M_tot: 0.01 μB/f.u.
calculated density: 3.19 Mg/m³
distance to the lowest polymorph of the same formula: 1 meV per atom

A relaxed Li6OsN4 crystal. Source: the Materials Project database, functional GGA-PBE.

a b c (Å): 6.7536 6.7536 4.8209
angles (deg): 90.00 90.00 90.00
Sites, in units of the cell vectors:
Li  0.5000  0.0000  0.1118
N  0.2484  0.5000  0.6705
Li  0.2105  0.2105  0.5000
Li  0.7105  0.7105  0.0000
N  0.0000  0.2516  0.1705
N  0.2516  0.0000  0.8295
Li  0.2895  0.2895  0.0000
Li  0.7895  0.7895  0.5000
Li  0.7895  0.2105  0.5000
Os  0.0000  0.0000  0.0000
Li  0.0000  0.5000  0.3882
N  0.0000  0.7484  0.1705
Li  0.2105  0.7895  0.5000
Li  0.2895  0.7105  0.0000
Li  0.0000  0.5000  0.8882
N  0.5000  0.7516  0.3295
Os  0.5000  0.5000  0.5000
N  0.5000  0.2484  0.3295
Li  0.7105  0.2895  0.0000
N  0.7484  0.0000  0.8295
Li  0.5000  0.0000  0.6118
N  0.7516  0.5000  0.6705

Calculated values
ΔE_f: -0.539 eV/atom
calculated density: 4.35 Mg/m³